Entry 1:
A plane-wave DFT calculation with PBE was carried out for an optimized crystal structure of Mg17Al12.

Computed properties:
Its space group is I-43m, No. 217. Its formation energy is -0.0270 eV/atom. The total energy is -72.9 eV for the cell shown.

```
29
Lattice="-5.2663 5.2663 5.2663 5.2663 -5.2663 5.2663 5.2663 5.2663 -5.2663" Properties=species:S:1:pos:R:3 pbc="T T T"
Mg 0.0000 0.0000 0.0000
Mg 3.4536 3.4536 -3.4536
Mg 5.6913 1.5098 -1.5098
Mg 3.4536 -3.4536 3.4536
Mg 5.6913 -1.5098 1.5098
Mg 4.8413 1.5098 1.5098
Mg 3.7565 3.7565 -0.4250
Mg 3.7565 -0.4250 3.7565
Mg 1.8127 1.8126 1.8127
Mg 1.5098 5.6913 -1.5098
Mg 1.5098 -1.5098 5.6913
Mg 1.5098 4.8413 1.5098
Mg 1.5098 1.5098 4.8413
Mg 7.0789 3.4536 3.4536
Mg -1.5098 5.6913 1.5098
Mg -1.5098 1.5098 5.6913
Mg -0.4250 3.7565 3.7565
Al -2.3613 6.2209 4.3117
Al -2.3613 4.3117 6.2209
Al 7.6276 0.9546 0.9546
Al 6.2209 -2.3613 4.3117
Al 6.2209 4.3117 -2.3613
Al -0.9546 2.9050 0.9546
Al -0.9546 0.9546 2.9050
Al 4.3117 4.3117 2.3613
Al 4.3117 2.3613 4.3117
Al 0.9546 7.6275 0.9546
Al 0.9546 0.9546 7.6275
Al 2.3613 4.3117 4.3117
```

***

Entry 2:
A plane-wave DFT calculation with PBE was carried out for an optimized crystal structure of Mg16Al13.

Computed properties:
Its space group is Cm, No. 8. Its formation energy is -0.0223 eV/atom. The value obtained for the magnetic moment is 0.0 Bohr magnetons per cell. The energy above the lowest structure with this stoichiometry is 0 meV per atom. The total energy is -74.9 eV for the cell shown.

```
29
Lattice="5.1846 -7.4827 0.0000 5.1846 7.4827 0.0000 -5.1346 0.0000 7.4480" Properties=species:S:1:pos:R:3 pbc="T T T"
Mg 0.0000 0.0000 0.0000
Mg -3.3579 0.0000 4.8713
Mg -1.4446 2.9823 5.0950
Mg 3.3898 4.8892 0.0096
Mg 1.5083 2.3708 4.4834
Mg -0.4016 0.0000 5.3176
Mg 3.7261 2.9609 2.3560
Mg 1.8431 0.0000 2.5789
Mg -1.4446 -2.9823 5.0950
Mg 5.6051 2.1179 0.0171
Mg 1.5083 -2.3708 4.4834
Mg 3.3898 -4.8892 0.0096
Mg 5.6051 -2.1179 0.0171
Mg 6.6720 2.3612 2.9647
Mg 3.7261 -2.9609 2.3560
Mg 6.6720 -2.3612 2.9647
Al 0.9497 2.7488 1.3878
Al -0.9335 1.3704 2.7393
Al 0.9731 4.7347 6.0632
Al -0.9335 -1.3704 2.7393
Al 2.8730 1.3465 0.0012
Al 2.8730 -1.3465 0.0012
Al 0.9497 -2.7488 1.3878
Al 4.7939 0.0000 2.1592
Al 2.3570 0.0000 6.1087
Al 4.2820 1.3612 4.7000
Al 7.4653 0.0000 1.3527
Al 0.9731 -4.7347 6.0632
Al 4.2820 -1.3612 4.7000
```

***

Entry 3:
A plane-wave DFT calculation with PBE was carried out for an optimized crystal structure of Mg3Mn2Al18.

Computed properties:
Its space group is Fd-3m, No. 227. Its formation energy is -0.1039 eV/atom. The value obtained for the magnetic moment is 2.0 Bohr magnetons per cell. The total energy is -185.9 eV for the cell shown.

```
46
Lattice="0.0000 7.2094 7.2094 7.2094 0.0000 7.2094 7.2094 7.2094 0.0000" Properties=species:S:1:pos:R:3 pbc="T T T"
Mg 0.0000 0.0000 0.0000
Mg 3.6047 3.6047 0.0000
Mg 3.6047 0.0000 3.6047
Mg 1.8024 1.8024 1.8024
Mg 0.0000 3.6047 3.6047
Mg 12.6165 12.6165 12.6165
Mn 7.2094 3.6047 3.6047
Mn 3.6047 7.2094 3.6047
Mn 3.6047 3.6047 7.2094
Mn 7.2094 7.2094 7.2094
Al 4.6962 2.7702 2.7702
Al 8.0439 6.1180 2.7702
Al 8.0439 2.7702 6.1180
Al 9.7227 6.3749 6.3749
Al 11.6486 8.3009 6.3749
Al 11.6486 6.3749 8.3009
Al 5.4071 5.4071 3.4257
Al 5.4071 3.4257 5.4071
Al 7.3885 5.4071 5.4071
Al 2.7702 4.6962 2.7702
Al 6.1180 8.0439 2.7702
Al 2.7702 2.7702 4.6962
Al 8.0439 8.0439 4.6962
Al 6.1180 2.7702 8.0439
Al 8.0439 4.6962 8.0439
Al 9.0118 9.0118 7.0304
Al 9.0118 7.0304 9.0118
Al 10.9932 9.0118 9.0118
Al 3.4257 5.4071 5.4071
Al 5.4071 7.3885 5.4071
Al 5.4071 5.4071 7.3885
Al 6.3749 9.7227 6.3749
Al 8.3009 11.6486 6.3749
Al 6.3749 6.3749 9.7227
Al 11.6486 11.6486 9.7227
Al 8.3009 6.3749 11.6486
Al 11.6486 9.7227 11.6486
Al 7.0304 9.0118 9.0118
Al 9.0118 10.9932 9.0118
Al 9.0118 9.0118 10.9932
Al 2.7702 8.0439 6.1180
Al 2.7702 6.1180 8.0439
Al 4.6962 8.0439 8.0439
Al 6.3749 11.6486 8.3009
Al 6.3749 8.3009 11.6486
Al 9.7227 11.6486 11.6486
```

***

Entry 4:
A plane-wave DFT calculation with PBE was carried out for an optimized crystal structure of Mg2MnAl3S8.

Computed properties:
Its space group is C2/m, No. 12. Its formation energy is -1.3552 eV/atom. The value obtained for the magnetic moment is 4.0 Bohr magnetons per cell. The total energy is -71.6 eV for the cell shown. As for the corrected total energy (MP2020 scheme): -5.405 eV/atom.

```
14
Lattice="6.2723 -3.6236 0.0000 6.2723 3.6236 0.0000 -4.1852 0.0000 5.9342" Properties=species:S:1:pos:R:3 pbc="T T T"
Mg -0.0013 0.0000 2.2232
Mg 8.3607 0.0000 3.7110
Mn 4.1797 0.0000 2.9671
Al 3.1362 1.8118 0.0000
Al 3.1362 -1.8118 0.0000
Al 6.2723 0.0000 0.0000
S 5.1299 1.6441 1.3879
S 2.2873 0.0000 1.3938
S -0.0033 0.0000 4.6633
S 3.2295 1.6441 4.5463
S 5.1299 -1.6441 1.3879
S 8.3627 0.0000 1.2708
S 6.0721 0.0000 4.5403
S 3.2295 -1.6441 4.5463
```

***

Entry 5:
A plane-wave DFT calculation with PBE was carried out for an optimized crystal structure of Mg2Mn3AlS8.

Computed properties:
Its space group is R-3m, No. 166. Its formation energy is -1.1400 eV/atom. The value obtained for the magnetic moment is 12.0 Bohr magnetons per cell. The total energy is -79.5 eV for the cell shown. As for the corrected total energy (MP2020 scheme): -5.963 eV/atom.

```
14
Lattice="3.6461 2.1051 5.9178 -3.6461 2.1051 5.9178 0.0000 -4.2101 5.9178" Properties=species:S:1:pos:R:3 pbc="T T T"
Mg 0.0000 0.0000 2.2180
Mg 0.0000 0.0000 15.5354
Mn -1.8230 -1.0525 5.9178
Mn -1.8230 1.0525 11.8356
Mn 0.0000 2.1051 5.9178
Al 0.0000 0.0000 8.8767
S 0.0000 0.0000 4.6429
S 0.0000 -1.8927 7.3470
S -1.6391 0.9463 7.3470
S -1.6391 -0.9463 10.4064
S 1.6391 0.9463 7.3470
S 1.6391 -0.9463 10.4064
S 0.0000 1.8927 10.4064
S 0.0000 0.0000 13.1105
```

***

Entry 6:
A plane-wave DFT calculation with PBE was carried out for an optimized crystal structure of Mg6AlMo.

Computed properties:
Its formation energy is 0.1701 eV/atom. The value obtained for the magnetic moment is 0.8 Bohr magnetons per cell. The energy above the lowest structure with this stoichiometry is 17 meV per atom. The total energy is -45.7 eV for the cell shown.

```
16
Lattice="-2.0750 -2.1139 3.9764 5.3509 -1.4890 2.0007 0.6222 9.3518 5.2962" Properties=species:S:1:pos:R:3 pbc="T T T"
Mg 0.5675 2.4922 4.7125
Mg 3.2303 1.7512 5.7081
Mg 4.0152 -0.3013 1.9351
Mg 1.4423 0.4146 0.9731
Mg 0.2044 3.0726 1.7401
Mg 2.8760 2.2695 2.7073
Mg 3.5541 6.4236 8.3610
Mg 0.8660 7.1716 7.3559
Mg 1.6508 5.1191 3.5828
Mg 4.4289 4.3460 4.6215
Mg 3.1909 7.0040 5.3885
Mg 0.5116 7.6899 4.3550
Al -0.9333 0.5099 2.8756
Al 2.0533 4.4413 6.5240
Mo 1.7445 -0.2002 3.8954
Mo -0.6199 5.2202 5.5431
```